DFT (PBE) results for crystalline Mn2Co9N8 at its relaxed geometry.

Calculated values
E (MP2020) = -7.791 eV per atom
Magnetic moment = 0.57 μB/cell
Calculated total energy = -145.13 eV for the cell shown
Energy of formation = 0.051 eV per atom
Symmetry = C2/m, No. 12

a b c (Å): 7.326 3.904 6.519
angles (deg): 90.00 71.67 74.55
Sites, in units of the cell vectors:
Co  0.035  0.983  0.787
Co  0.194  0.403  0.024
Co  0.965  0.017  0.213
Co  0.657  0.672  0.412
Co  0.000  0.500  0.500
Co  0.343  0.328  0.588
Co  0.298  0.851  0.309
Co  0.806  0.597  0.976
Co  0.702  0.149  0.691
N  0.920  0.540  0.230
N  0.717  0.642  0.705
N  0.233  0.884  0.055
N  0.358  0.821  0.579
N  0.283  0.358  0.295
N  0.767  0.116  0.945
N  0.080  0.460  0.770
N  0.642  0.179  0.421
Mn  0.559  0.220  0.194
Mn  0.441  0.780  0.806

***

DFT (PBE) results for crystalline Mg9Si5 at its relaxed geometry.

Calculated values
E (MP2020) = -2.970 eV per atom
Magnetic moment = 0.01 μB/cell
Calculated total energy = -83.86 eV for the cell shown
Energy of formation = -0.003 eV per atom
Symmetry = P1, No. 1
Excess energy over the best structure of this formula in the dataset = 1.12 eV/f.u.

a b c (Å): 7.132 7.155 12.482
angles (deg): 96.02 90.63 118.93
Sites, in units of the cell vectors:
Si  0.196  0.175  0.498
Si  0.769  0.334  0.844
Si  0.471  0.729  0.006
Si  0.517  0.806  0.349
Si  0.599  0.991  0.699
Si  0.831  0.440  0.186
Si  0.179  0.127  0.269
Si  0.142  0.071  0.048
Si  0.864  0.519  0.521
Si  0.362  0.649  0.758
Mg  0.368  0.991  0.884
Mg  0.787  0.811  0.181
Mg  0.528  0.099  0.503
Mg  0.556  0.405  0.021
Mg  0.241  0.481  0.179
Mg  0.154  0.887  0.663
Mg  0.801  0.778  0.851
Mg  0.804  0.142  0.021
Mg  0.985  0.312  0.657
Mg  0.053  0.648  0.011
Mg  0.301  0.597  0.523
Mg  0.162  0.300  0.874
Mg  0.791  0.860  0.527
Mg  0.567  0.447  0.353
Mg  0.522  0.391  0.681
Mg  0.893  0.229  0.356
Mg  0.099  0.764  0.357
Mg  0.459  0.019  0.180

***

DFT (PBE) results for crystalline Zr2S at its relaxed geometry.

Calculated values
E (MP2020) = -8.342 eV per atom
Calculated total energy = -294.27 eV for the cell shown
Energy of formation = -1.265 eV per atom
Symmetry = Pnnm, No. 58

a b c (Å): 3.572 12.404 15.330
angles (deg): 90.00 90.00 90.00
Sites, in units of the cell vectors:
S  0.500  0.185  0.150
S  0.500  0.815  0.850
S  0.000  0.685  0.350
S  0.000  0.315  0.650
S  0.000  0.249  0.415
S  0.000  0.570  0.793
S  0.000  0.430  0.207
S  0.500  0.930  0.293
S  0.000  0.751  0.585
S  0.500  0.251  0.915
S  0.500  0.070  0.707
S  0.500  0.749  0.085
Zr  0.000  0.919  0.750
Zr  0.500  0.621  0.920
Zr  0.500  0.306  0.292
Zr  0.000  0.410  0.918
Zr  0.500  0.694  0.708
Zr  0.000  0.194  0.792
Zr  0.000  0.470  0.390
Zr  0.500  0.910  0.582
Zr  0.000  0.879  0.420
Zr  0.500  0.419  0.750
Zr  0.000  0.842  0.978
Zr  0.000  0.121  0.580
Zr  0.500  0.090  0.418
Zr  0.000  0.590  0.082
Zr  0.500  0.581  0.250
Zr  0.000  0.158  0.022
Zr  0.000  0.806  0.208
Zr  0.500  0.030  0.890
Zr  0.500  0.658  0.478
Zr  0.500  0.970  0.110
Zr  0.500  0.342  0.522
Zr  0.000  0.530  0.610
Zr  0.000  0.081  0.250
Zr  0.500  0.379  0.080

***

DFT (PBE) results for crystalline Li2Cu3P4O14 at its relaxed geometry.

Calculated values
E (MP2020) = -6.867 eV per atom
Magnetic moment = 6.00 μB/cell
Calculated total energy = -296.63 eV for the cell shown
Energy of formation = -2.213 eV per atom
Symmetry = P2_1/c, No. 14
Excess energy over the best structure of this formula in the dataset = 0.00 eV/f.u.

a b c (Å): 8.043 7.241 9.292
angles (deg): 72.34 90.00 90.00
Sites, in units of the cell vectors:
Cu  0.500  0.000  0.000
Cu  0.878  0.192  0.980
Cu  0.122  0.808  0.020
Cu  0.000  0.000  0.500
Cu  0.378  0.808  0.520
Cu  0.622  0.192  0.480
O  0.411  0.015  0.615
O  0.117  0.142  0.623
O  0.142  0.317  0.190
O  0.911  0.985  0.885
O  0.883  0.858  0.377
O  0.503  0.380  0.305
O  0.904  0.303  0.377
O  0.003  0.620  0.195
O  0.158  0.625  0.903
O  0.858  0.683  0.810
O  0.842  0.375  0.097
O  0.997  0.380  0.805
O  0.287  0.991  0.869
O  0.787  0.009  0.631
O  0.497  0.620  0.695
O  0.358  0.317  0.690
O  0.617  0.858  0.877
O  0.589  0.985  0.385
O  0.089  0.015  0.115
O  0.213  0.991  0.369
O  0.642  0.683  0.310
O  0.383  0.142  0.123
O  0.096  0.697  0.623
O  0.713  0.009  0.131
O  0.404  0.697  0.123
O  0.342  0.625  0.403
O  0.658  0.375  0.597
O  0.596  0.303  0.877
P  0.038  0.594  0.783
P  0.213  0.108  0.198
P  0.287  0.108  0.698
P  0.713  0.892  0.302
P  0.462  0.594  0.283
P  0.962  0.406  0.217
P  0.787  0.892  0.802
P  0.538  0.406  0.717
Li  0.589  0.298  0.127
Li  0.089  0.702  0.373
Li  0.911  0.298  0.627
Li  0.411  0.702  0.873

***

DFT (PBE) results for crystalline Ce6In5Pd12 at its relaxed geometry.

Calculated values
Magnetic moment = 7.33 μB/cell
Calculated total energy = -256.59 eV for the cell shown
Energy of formation = -0.730 eV per atom
Symmetry = P6_3/mcm, No. 193

a b c (Å): 8.278 8.278 16.319
angles (deg): 90.00 90.00 120.00
Sites, in units of the cell vectors:
In  0.667  0.333  0.500
In  0.333  0.667  0.000
In  0.368  0.000  0.250
In  0.632  0.000  0.750
In  0.368  0.368  0.750
In  0.000  0.632  0.750
In  0.000  0.368  0.250
In  0.632  0.632  0.250
In  0.667  0.333  0.000
In  0.333  0.667  0.500
Pd  0.617  0.000  0.929
Pd  0.617  0.000  0.571
Pd  0.617  0.617  0.429
Pd  0.333  0.667  0.833
Pd  0.667  0.333  0.333
Pd  0.000  0.000  0.000
Pd  0.667  0.333  0.667
Pd  0.000  0.617  0.929
Pd  0.667  0.333  0.167
Pd  0.000  0.617  0.571
Pd  0.333  0.667  0.333
Pd  0.617  0.617  0.071
Pd  0.333  0.667  0.667
Pd  0.383  0.000  0.071
Pd  0.667  0.333  0.833
Pd  0.383  0.000  0.429
Pd  0.000  0.383  0.429
Pd  0.333  0.667  0.167
Pd  0.000  0.000  0.750
Pd  0.383  0.383  0.929
Pd  0.383  0.383  0.571
Pd  0.000  0.000  0.250
Pd  0.000  0.383  0.071
Pd  0.000  0.000  0.500
Ce  0.000  0.723  0.122
Ce  0.277  0.277  0.378
Ce  0.723  0.723  0.622
Ce  0.277  0.277  0.122
Ce  0.723  0.000  0.378
Ce  0.000  0.277  0.878
Ce  0.277  0.000  0.622
Ce  0.277  0.000  0.878
Ce  0.000  0.277  0.622
Ce  0.723  0.723  0.878
Ce  0.000  0.723  0.378
Ce  0.723  0.000  0.122

***

DFT (PBE) results for crystalline Nb2PC at its relaxed geometry.

Calculated values
Calculated total energy = -75.68 eV for the cell shown
Energy of formation = -0.749 eV per atom
Symmetry = P6_3/mmc, No. 194

a b c (Å): 3.310 3.310 11.654
angles (deg): 90.00 90.00 120.00
Sites, in units of the cell vectors:
P  0.333  0.667  0.750
P  0.667  0.333  0.250
Nb  0.667  0.333  0.900
Nb  0.333  0.667  0.400
Nb  0.333  0.667  0.100
Nb  0.667  0.333  0.600
C  0.000  0.000  0.000
C  0.000  0.000  0.500

***

DFT (PBE) results for crystalline AuSeBr at its relaxed geometry.

Calculated values
E (MP2020) = -3.136 eV per atom
Calculated total energy = -70.99 eV for the cell shown
Energy of formation = -0.334 eV per atom
Symmetry = Pnma, No. 62

a b c (Å): 7.119 7.669 12.422
angles (deg): 90.00 90.00 90.00
Sites, in units of the cell vectors:
Au  0.087  0.135  0.750
Au  0.666  0.251  0.250
Au  0.334  0.749  0.750
Au  0.834  0.751  0.750
Au  0.166  0.249  0.250
Au  0.413  0.635  0.250
Au  0.587  0.365  0.750
Au  0.913  0.865  0.250
Br  0.412  0.862  0.397
Br  0.588  0.138  0.897
Br  0.088  0.362  0.897
Br  0.912  0.638  0.103
Br  0.088  0.362  0.603
Br  0.912  0.638  0.397
Br  0.588  0.138  0.603
Br  0.412  0.862  0.103
Se  0.916  0.123  0.127
Se  0.084  0.877  0.627
Se  0.916  0.123  0.373
Se  0.084  0.877  0.873
Se  0.416  0.377  0.373
Se  0.584  0.623  0.627
Se  0.416  0.377  0.127
Se  0.584  0.623  0.873

***

DFT (PBE) results for crystalline Y3Mg2CrS8 at its relaxed geometry.

Calculated values
E (MP2020) = -6.548 eV per atom
Magnetic moment = 3.00 μB/cell
Calculated total energy = -87.64 eV for the cell shown
Energy of formation = -1.880 eV per atom
Symmetry = R-3m, No. 166

a b c (Å): 7.792 7.700 7.792
angles (deg): 59.60 60.00 59.60
Sites, in units of the cell vectors:
Y  0.500  0.500  0.500
Y  0.500  0.500  0.000
Y  0.000  0.500  0.500
S  0.270  0.230  0.270
S  0.270  0.230  0.729
S  0.746  0.263  0.746
S  0.271  0.770  0.730
S  0.730  0.770  0.271
S  0.730  0.770  0.730
S  0.254  0.737  0.254
S  0.729  0.230  0.270
Mg  0.126  0.123  0.126
Mg  0.874  0.877  0.874
Cr  0.500  0.000  0.500

***

DFT (PBE) results for crystalline PuBr2 at its relaxed geometry.

Calculated values
E (MP2020) = -7.639 eV per atom
Calculated total energy = -43.70 eV for the cell shown
Energy of formation = -1.791 eV per atom
Symmetry = P4_2/mnm, No. 136

a b c (Å): 7.239 7.239 4.244
angles (deg): 90.00 90.00 90.00
Sites, in units of the cell vectors:
Br  0.705  0.705  0.000
Br  0.295  0.295  0.000
Br  0.795  0.205  0.500
Br  0.205  0.795  0.500
Pu  0.000  0.000  0.000
Pu  0.500  0.500  0.500

***

DFT (PBE) results for crystalline Ca4PtN4 at its relaxed geometry.

Calculated values
E (MP2020) = -5.970 eV per atom
Magnetic moment = 0.29 μB/cell
Calculated total energy = -209.16 eV for the cell shown
Energy of formation = -0.699 eV per atom
Symmetry = Pnma, No. 62
Excess energy over the best structure of this formula in the dataset = 0.00 eV/f.u.

a b c (Å): 13.421 3.461 14.383
angles (deg): 90.00 90.00 90.00
Sites, in units of the cell vectors:
Ca  0.890  0.250  0.039
Ca  0.390  0.250  0.461
Ca  0.692  0.250  0.747
Ca  0.192  0.250  0.753
Ca  0.950  0.750  0.788
Ca  0.808  0.750  0.247
Ca  0.613  0.750  0.074
Ca  0.387  0.250  0.926
Ca  0.550  0.250  0.288
Ca  0.887  0.250  0.574
Ca  0.113  0.750  0.426
Ca  0.308  0.750  0.253
Ca  0.450  0.750  0.712
Ca  0.110  0.750  0.961
Ca  0.610  0.750  0.539
Ca  0.050  0.250  0.212
N  0.440  0.750  0.349
N  0.754  0.750  0.625
N  0.254  0.750  0.875
N  0.680  0.250  0.191
N  0.180  0.250  0.309
N  0.746  0.250  0.125
N  0.246  0.250  0.375
N  0.485  0.250  0.591
N  0.560  0.250  0.651
N  0.320  0.750  0.809
N  0.820  0.750  0.691
N  0.985  0.250  0.909
N  0.060  0.250  0.849
N  0.515  0.750  0.409
N  0.015  0.750  0.091
N  0.940  0.750  0.151
Pt  0.070  0.750  0.619
Pt  0.570  0.750  0.881
Pt  0.930  0.250  0.381
Pt  0.430  0.250  0.119

***

DFT (PBE) results for crystalline Tm6FeBi2 at its relaxed geometry.

Calculated values
Calculated total energy = -46.87 eV for the cell shown
Energy of formation = -0.419 eV per atom
Symmetry = P-62m, No. 189

a b c (Å): 8.228 8.228 4.143
angles (deg): 90.00 90.00 120.00
Sites, in units of the cell vectors:
Tm  0.000  0.613  0.000
Tm  0.387  0.387  0.000
Tm  0.770  0.770  0.500
Tm  0.230  0.000  0.500
Tm  0.000  0.230  0.500
Tm  0.613  0.000  0.000
Bi  0.667  0.333  0.500
Bi  0.333  0.667  0.500
Fe  0.000  0.000  0.000

***

DFT (PBE) results for crystalline CdC2S2N8Cl2 at its relaxed geometry.

Calculated values
E (MP2020) = -6.341 eV per atom
Magnetic moment = 8.01 μB/cell
Calculated total energy = -185.76 eV for the cell shown
Energy of formation = 0.195 eV per atom
Symmetry = P2_1/c, No. 14

a b c (Å): 6.285 10.232 15.578
angles (deg): 58.23 90.00 90.00
Sites, in units of the cell vectors:
N  0.157  0.739  0.451
N  0.713  0.673  0.844
N  0.213  0.327  0.656
N  0.787  0.673  0.344
N  0.348  0.418  0.644
N  0.793  0.141  0.575
N  0.707  0.141  0.075
N  0.343  0.739  0.951
N  0.657  0.261  0.049
N  0.843  0.261  0.549
N  0.207  0.859  0.425
N  0.287  0.327  0.156
N  0.152  0.418  0.144
N  0.293  0.859  0.925
N  0.848  0.582  0.856
N  0.652  0.582  0.356
C  0.484  0.512  0.632
C  0.016  0.512  0.132
C  0.984  0.488  0.868
C  0.516  0.488  0.368
Cl  0.736  0.078  0.366
Cl  0.764  0.078  0.866
Cl  0.236  0.922  0.134
Cl  0.264  0.922  0.634
Cd  0.500  0.000  0.500
Cd  0.000  0.000  0.000
S  0.659  0.636  0.611
S  0.341  0.364  0.389
S  0.159  0.364  0.889
S  0.841  0.636  0.111

***

DFT (PBE) results for crystalline MnV at its relaxed geometry.

Calculated values
Magnetic moment = 0.06 μB/cell
Calculated total energy = -18.52 eV for the cell shown
Energy of formation = -0.135 eV per atom
Symmetry = Cmmm, No. 65

a b c (Å): 2.532 2.532 3.969
angles (deg): 90.00 90.00 110.73
Sites, in units of the cell vectors:
V  0.500  0.500  0.500
Mn  0.000  0.000  0.000

***

DFT (PBE) results for crystalline La4MgNi at its relaxed geometry.

Calculated values
Calculated total energy = -112.43 eV for the cell shown
Energy of formation = -0.164 eV per atom
Symmetry = F-43m, No. 216

a b c (Å): 10.108 10.108 10.108
angles (deg): 60.00 60.00 60.00
Sites, in units of the cell vectors:
La  0.438  0.062  0.062
La  0.218  0.594  0.594
La  0.594  0.218  0.594
La  0.594  0.594  0.594
La  0.438  0.438  0.062
La  0.186  0.186  0.814
La  0.814  0.186  0.814
La  0.438  0.062  0.438
La  0.814  0.186  0.186
La  0.186  0.814  0.814
La  0.062  0.438  0.062
La  0.594  0.594  0.218
La  0.814  0.814  0.186
La  0.186  0.814  0.186
La  0.062  0.438  0.438
La  0.062  0.062  0.438
Ni  0.391  0.391  0.826
Ni  0.826  0.391  0.391
Ni  0.391  0.826  0.391
Ni  0.391  0.391  0.391
Mg  0.829  0.829  0.829
Mg  0.829  0.512  0.829
Mg  0.829  0.829  0.512
Mg  0.512  0.829  0.829